{"formula": "Fe6ClO12", "functional": "PBE with a Hubbard U", "state": "relaxed", "magmom_total_mub_per_cell": 48.0, "formation_enthalpy_0k_mev_per_atom": -1166, "lattice": [[-5.202, 5.202, 4.389], [5.202, -5.202, 4.389], [5.202, 5.202, -4.389]], "species": ["Fe", "Fe", "Fe", "Fe", "Fe", "Fe", "Fe", "Fe", "Fe", "Fe", "Fe", "Fe", "Cl", "Cl", "O", "O", "O", "O", "O", "O", "O", "O", "O", "O", "O", "O", "O", "O", "O", "O", "O", "O", "O", "O", "O", "O", "O", "O"], "fractional_positions": [[0.002, 0.817, 0.484], [0.147, 0.668, 0.816], [0.183, 0.667, 0.185], [0.332, 0.147, 0.479], [0.333, 0.518, 0.516], [0.482, 0.998, 0.815], [0.518, 0.002, 0.185], [0.667, 0.482, 0.484], [0.668, 0.853, 0.521], [0.817, 0.333, 0.815], [0.853, 0.332, 0.184], [0.998, 0.183, 0.516], [0.388, 0.388, 0.000], [0.612, 0.612, 0.000], [0.003, 0.620, 0.293], [0.017, 0.383, 0.064], [0.045, 0.334, 0.379], [0.047, 0.983, 0.365], [0.282, 0.346, 0.628], [0.289, 0.997, 0.617], [0.318, 0.953, 0.936], [0.327, 0.711, 0.707], [0.334, 0.955, 0.290], [0.346, 0.718, 0.064], [0.380, 0.673, 0.383], [0.383, 0.318, 0.365], [0.617, 0.682, 0.635], [0.620, 0.327, 0.617], [0.654, 0.282, 0.936], [0.666, 0.045, 0.710], [0.673, 0.289, 0.293], [0.682, 0.047, 0.064], [0.711, 0.003, 0.383], [0.718, 0.654, 0.372], [0.953, 0.017, 0.635], [0.955, 0.666, 0.621], [0.983, 0.617, 0.936], [0.997, 0.380, 0.707]]}

=====

{"formula": "La19Mn19O60", "functional": "PBE with a Hubbard U", "state": "relaxed", "magmom_total_mub_per_cell": 70.0, "formation_enthalpy_0k_mev_per_atom": -2936, "lattice": [[9.671, 0.000, 0.000], [3.175, 10.586, 0.000], [3.222, 2.143, 11.880]], "species": ["La", "La", "La", "La", "La", "La", "La", "La", "La", "La", "La", "La", "La", "La", "La", "La", "La", "La", "La", "Mn", "Mn", "Mn", "Mn", "Mn", "Mn", "Mn", "Mn", "Mn", "Mn", "Mn", "Mn", "Mn", "Mn", "Mn", "Mn", "Mn", "Mn", "Mn", "O", "O", "O", "O", "O", "O", "O", "O", "O", "O", "O", "O", "O", "O", "O", "O", "O", "O", "O", "O", "O", "O", "O", "O", "O", "O", "O", "O", "O", "O", "O", "O", "O", "O", "O", "O", "O", "O", "O", "O", "O", "O", "O", "O", "O", "O", "O", "O", "O", "O", "O", "O", "O", "O", "O", "O", "O", "O", "O", "O"], "fractional_positions": [[0.000, 0.000, 0.000], [0.000, 0.499, 0.001], [0.102, 0.898, 0.301], [0.116, 0.391, 0.306], [0.202, 0.800, 0.605], [0.211, 0.298, 0.594], [0.308, 0.189, 0.901], [0.309, 0.707, 0.898], [0.403, 0.106, 0.205], [0.406, 0.582, 0.208], [0.498, 0.013, 0.498], [0.500, 0.488, 0.497], [0.602, 0.399, 0.800], [0.691, 0.298, 0.110], [0.694, 0.803, 0.093], [0.785, 0.204, 0.398], [0.799, 0.698, 0.401], [0.893, 0.607, 0.704], [0.896, 0.092, 0.703], [0.051, 0.699, 0.151], [0.052, 0.198, 0.151], [0.146, 0.098, 0.451], [0.148, 0.600, 0.453], [0.251, 0.497, 0.752], [0.253, 0.998, 0.751], [0.350, 0.400, 0.049], [0.354, 0.897, 0.051], [0.451, 0.798, 0.352], [0.550, 0.702, 0.651], [0.551, 0.194, 0.655], [0.650, 0.097, 0.950], [0.650, 0.601, 0.950], [0.753, 0.996, 0.250], [0.755, 0.500, 0.251], [0.849, 0.899, 0.553], [0.851, 0.399, 0.552], [0.948, 0.799, 0.851], [0.951, 0.298, 0.851], [0.026, 0.257, 0.514], [0.029, 0.756, 0.511], [0.043, 0.744, 0.988], [0.044, 0.240, 0.987], [0.057, 0.153, 0.315], [0.061, 0.658, 0.312], [0.070, 0.139, 0.791], [0.079, 0.639, 0.789], [0.112, 0.889, 0.779], [0.113, 0.384, 0.774], [0.182, 0.814, 0.126], [0.189, 0.309, 0.128], [0.225, 0.553, 0.115], [0.226, 0.054, 0.117], [0.236, 0.044, 0.588], [0.238, 0.542, 0.592], [0.260, 0.454, 0.915], [0.261, 0.956, 0.915], [0.266, 0.451, 0.398], [0.273, 0.941, 0.390], [0.298, 0.183, 0.380], [0.314, 0.684, 0.376], [0.374, 0.122, 0.721], [0.387, 0.609, 0.727], [0.406, 0.850, 0.708], [0.423, 0.356, 0.716], [0.429, 0.344, 0.180], [0.437, 0.841, 0.192], [0.464, 0.754, 0.512], [0.470, 0.733, 0.005], [0.474, 0.252, 0.522], [0.477, 0.244, 0.986], [0.507, 0.992, 0.990], [0.511, 0.486, 0.976], [0.585, 0.913, 0.328], [0.604, 0.414, 0.321], [0.628, 0.656, 0.312], [0.634, 0.145, 0.305], [0.636, 0.628, 0.788], [0.639, 0.158, 0.789], [0.665, 0.057, 0.111], [0.665, 0.552, 0.114], [0.675, 0.542, 0.585], [0.686, 0.050, 0.576], [0.713, 0.290, 0.575], [0.718, 0.784, 0.574], [0.790, 0.211, 0.930], [0.803, 0.697, 0.931], [0.825, 0.956, 0.915], [0.828, 0.453, 0.912], [0.841, 0.937, 0.387], [0.845, 0.444, 0.386], [0.861, 0.355, 0.714], [0.868, 0.843, 0.187], [0.876, 0.342, 0.186], [0.887, 0.849, 0.706], [0.914, 0.587, 0.173], [0.918, 0.084, 0.175], [0.981, 0.517, 0.529], [0.990, 0.011, 0.527]]}